DFT (GGA-PBE) results for Na2AlAgCl6 after structural relaxation.

* ΔH_f (0 K): -1599 kJ/mol of formula units
* symmetry: Fm-3m
* electronic total energy: -3.321 eV/atom

```
Na2AlAgCl6
1.0
0.000 5.023 5.023
5.023 0.000 5.023
5.023 5.023 0.000
Na Al Ag Cl
2 1 1 6
Direct
0.250 0.250 0.250 Na
0.750 0.750 0.750 Na
0.000 0.000 0.000 Al
0.500 0.500 0.500 Ag
0.233 0.233 0.767 Cl
0.233 0.767 0.233 Cl
0.233 0.767 0.767 Cl
0.767 0.233 0.233 Cl
0.767 0.233 0.767 Cl
0.767 0.767 0.233 Cl
```



DFT (GGA-PBE) results for YFeB4 after structural relaxation.

* ΔH_f (0 K): -350 kJ/mol of formula units
* symmetry: Pbam
* electronic total energy: -7.546 eV/atom

```
YFeB4
1.0
5.886 0.000 0.000
0.000 11.388 0.000
0.000 0.000 3.382
Y Fe B
4 4 16
Direct
0.126 0.150 0.000 Y
0.374 0.650 0.000 Y
0.626 0.350 0.000 Y
0.874 0.850 0.000 Y
0.133 0.412 0.000 Fe
0.367 0.912 0.000 Fe
0.633 0.088 0.000 Fe
0.867 0.588 0.000 Fe
0.025 0.690 0.500 B
0.111 0.546 0.500 B
0.139 0.968 0.500 B
0.218 0.816 0.500 B
0.282 0.316 0.500 B
0.361 0.468 0.500 B
0.389 0.046 0.500 B
0.475 0.190 0.500 B
0.525 0.810 0.500 B
0.611 0.954 0.500 B
0.639 0.532 0.500 B
0.718 0.684 0.500 B
0.782 0.184 0.500 B
0.861 0.032 0.500 B
0.889 0.454 0.500 B
0.975 0.310 0.500 B
```



DFT (GGA-PBE) results for NaZr3NbP6O24 after structural relaxation.

* ΔH_f (0 K): -10485 kJ/mol of formula units
* symmetry: P3
* electronic total energy: -8.014 eV/atom

```
NaZr3NbP6O24
1.0
8.901 0.000 0.000
-4.451 7.709 0.000
0.000 0.000 23.172
Na Zr Nb P O
3 9 3 18 72
Direct
0.000 0.000 0.000 Na
0.000 0.000 0.499 Na
0.333 0.667 0.165 Na
0.000 0.000 0.146 Zr
0.000 0.000 0.352 Zr
0.000 0.000 0.646 Zr
0.000 0.000 0.852 Zr
0.333 0.667 0.020 Zr
0.333 0.667 0.524 Zr
0.667 0.333 0.188 Zr
0.667 0.333 0.474 Zr
0.667 0.333 0.976 Zr
0.333 0.667 0.313 Nb
0.333 0.667 0.811 Nb
0.667 0.333 0.687 Nb
0.000 0.292 0.749 P
0.003 0.711 0.250 P
0.048 0.668 0.915 P
0.049 0.380 0.416 P
0.289 0.293 0.250 P
0.292 0.000 0.749 P
0.331 0.951 0.416 P
0.332 0.380 0.915 P
0.378 0.045 0.083 P
0.381 0.332 0.583 P
0.620 0.669 0.416 P
0.620 0.952 0.915 P
0.667 0.622 0.083 P
0.668 0.050 0.583 P
0.707 0.997 0.250 P
0.708 0.708 0.749 P
0.950 0.619 0.583 P
0.955 0.333 0.083 P
0.028 0.199 0.408 O
0.028 0.829 0.907 O
0.033 0.211 0.696 O
0.038 0.825 0.196 O
0.129 0.636 0.576 O
0.138 0.494 0.076 O
0.141 0.495 0.362 O
0.141 0.646 0.861 O
0.159 0.474 0.762 O
0.160 0.698 0.969 O
0.162 0.465 0.469 O
0.167 0.691 0.260 O
0.171 0.199 0.907 O
0.171 0.972 0.408 O
0.175 0.213 0.196 O
0.178 0.967 0.696 O
0.195 0.024 0.089 O
0.199 0.171 0.591 O
0.205 0.181 0.303 O
0.211 0.033 0.803 O
0.302 0.462 0.969 O
0.303 0.838 0.469 O
0.309 0.477 0.260 O
0.315 0.841 0.762 O
0.354 0.495 0.861 O
0.355 0.859 0.362 O
0.357 0.862 0.076 O
0.364 0.493 0.576 O
0.461 0.155 0.028 O
0.464 0.302 0.529 O
0.469 0.315 0.241 O
0.474 0.159 0.737 O
0.488 0.128 0.137 O
0.493 0.129 0.422 O
0.494 0.363 0.922 O
0.496 0.354 0.637 O
0.505 0.645 0.362 O
0.505 0.859 0.861 O
0.506 0.643 0.076 O
0.507 0.871 0.576 O
0.523 0.833 0.260 O
0.526 0.685 0.762 O
0.535 0.697 0.469 O
0.538 0.840 0.969 O
0.636 0.507 0.422 O
0.637 0.130 0.922 O
0.640 0.512 0.137 O
0.646 0.141 0.637 O
0.685 0.154 0.241 O
0.685 0.526 0.737 O
0.694 0.539 0.028 O
0.698 0.162 0.529 O
0.787 0.962 0.196 O
0.789 0.822 0.696 O
0.801 0.829 0.408 O
0.801 0.972 0.907 O
0.819 0.024 0.303 O
0.822 0.789 0.803 O
0.829 0.028 0.591 O
0.829 0.805 0.089 O
0.838 0.536 0.529 O
0.841 0.315 0.737 O
0.845 0.306 0.028 O
0.846 0.531 0.241 O
0.859 0.504 0.637 O
0.870 0.506 0.922 O
0.871 0.364 0.422 O
0.872 0.360 0.137 O
0.967 0.178 0.803 O
0.972 0.801 0.591 O
0.976 0.171 0.089 O
0.976 0.795 0.303 O
```



DFT (GGA-PBE) results for AgAuO3 after structural relaxation.

* ΔH_f (0 K): 0 kJ/mol of formula units
* symmetry: Cmcm
* electronic total energy: -4.093 eV/atom

```
AgAuO3
1.0
3.734 -5.227 0.000
3.734 5.227 0.000
0.000 0.000 7.540
Ag Au O
4 4 12
Direct
0.000 0.000 0.250 Ag
0.000 0.000 0.750 Ag
0.362 0.638 0.750 Ag
0.638 0.362 0.250 Ag
0.000 0.500 0.000 Au
0.000 0.500 0.500 Au
0.500 0.000 0.000 Au
0.500 0.000 0.500 Au
0.161 0.839 0.519 O
0.161 0.839 0.981 O
0.186 0.477 0.250 O
0.268 0.307 0.250 O
0.307 0.268 0.750 O
0.477 0.186 0.750 O
0.523 0.814 0.250 O
0.693 0.732 0.250 O
0.732 0.693 0.750 O
0.814 0.523 0.750 O
0.839 0.161 0.019 O
0.839 0.161 0.481 O
```



Repeat the fourth record exactly.
DFT (GGA-PBE) results for AgAuO3 after structural relaxation.

* ΔH_f (0 K): 0 kJ/mol of formula units
* symmetry: Cmcm
* electronic total energy: -4.093 eV/atom

```
AgAuO3
1.0
3.734 -5.227 0.000
3.734 5.227 0.000
0.000 0.000 7.540
Ag Au O
4 4 12
Direct
0.000 0.000 0.250 Ag
0.000 0.000 0.750 Ag
0.362 0.638 0.750 Ag
0.638 0.362 0.250 Ag
0.000 0.500 0.000 Au
0.000 0.500 0.500 Au
0.500 0.000 0.000 Au
0.500 0.000 0.500 Au
0.161 0.839 0.519 O
0.161 0.839 0.981 O
0.186 0.477 0.250 O
0.268 0.307 0.250 O
0.307 0.268 0.750 O
0.477 0.186 0.750 O
0.523 0.814 0.250 O
0.693 0.732 0.250 O
0.732 0.693 0.750 O
0.814 0.523 0.750 O
0.839 0.161 0.019 O
0.839 0.161 0.481 O
```



Q: Among the records above, which one has the lowest ΔH_f (0 K)?
A: NaZr3NbP6O24



Q: Among the records above, which one has the lowest electronic total energy?
A: NaZr3NbP6O24